Record 1
Computed, not measured: crystalline V5O12 at its relaxed geometry at the PBE+U level of DFT.

* total energy: -7.4700 eV per atom
* ΔE to the lowest computed polymorph: 30 meV/atom

Geometry as POSCAR:
```
V5O12
1.0
-0.712 -5.368 5.565
5.262 1.279 5.565
-7.548 6.783 0.201
V O
10 24
direct
0.705 0.545 0.625
0.460 0.282 0.083
0.968 0.790 0.167
0.545 0.721 0.333
0.529 0.705 0.917
0.206 0.044 0.125
0.960 0.782 0.583
0.468 0.290 0.667
0.045 0.221 0.833
0.029 0.205 0.417
0.870 0.705 0.683
0.370 0.205 0.183
0.045 0.880 0.067
0.545 0.380 0.567
0.150 0.623 0.555
0.650 0.123 0.055
0.127 0.600 0.195
0.627 0.100 0.695
0.516 0.685 0.477
0.016 0.185 0.977
0.565 0.734 0.773
0.065 0.234 0.273
0.779 0.769 0.404
0.279 0.269 0.904
0.981 0.971 0.346
0.481 0.471 0.846
0.529 0.511 0.178
0.029 0.011 0.678
0.739 0.721 0.072
0.239 0.221 0.572
0.381 0.913 0.280
0.881 0.413 0.780
0.337 0.869 0.970
0.837 0.369 0.470
```

---

Record 2
Computed, not measured: crystalline Na3V5O10 at its relaxed geometry at the PBE+U level of DFT.

* total energy: -7.0424 eV per atom
* space-group type: P-1 (2)
* ΔE to the lowest computed polymorph: 0 meV/atom

Geometry as POSCAR:
```
Na3V5O10
1.0
6.580 0.000 0.000
-2.330 6.868 0.000
-2.521 -2.222 9.690
Na V O
6 10 20
direct
0.000 0.000 0.000
0.000 0.000 0.500
0.393 0.397 0.098
0.394 0.397 0.598
0.606 0.603 0.402
0.607 0.603 0.902
0.102 0.598 0.396
0.105 0.599 0.900
0.290 0.803 0.198
0.296 0.802 0.701
0.500 0.000 0.000
0.500 0.000 0.500
0.704 0.198 0.299
0.710 0.197 0.802
0.895 0.401 0.100
0.898 0.402 0.604
0.013 0.322 0.946
0.015 0.329 0.456
0.190 0.872 0.363
0.194 0.875 0.859
0.213 0.525 0.739
0.216 0.523 0.255
0.388 0.078 0.143
0.393 0.076 0.646
0.409 0.722 0.540
0.418 0.725 0.048
0.582 0.275 0.952
0.591 0.278 0.460
0.607 0.924 0.354
0.612 0.922 0.857
0.784 0.477 0.745
0.787 0.475 0.261
0.806 0.125 0.141
0.810 0.128 0.637
0.985 0.671 0.544
0.987 0.678 0.054
```

---

Number 1: calculated formation energy -38.939 eV per formula unit. Number 2: calculated formation energy -43.267 eV per formula unit.